(1)
# NaSnPd2 (PBE, optimized geometry)
# DFT formation energy = -0.411 eV per atom
data_NaSnPd2
_chemical_formula_sum 'Na4 Sn4 Pd8'
_space_group_name_H-M_alt 'F m -3 m'
_space_group_IT_number 225
_space_group_name_Hall '-F 4 2 3'
_cell_length_a 6.576
_cell_length_b 6.576
_cell_length_c 6.576
_cell_angle_alpha 90.00
_cell_angle_beta 90.00
_cell_angle_gamma 90.00
loop_
_atom_site_label
_atom_site_type_symbol
_atom_site_fract_x
_atom_site_fract_y
_atom_site_fract_z
_atom_site_occupancy
Na1 Na 0.000 0.000 0.000 1
Sn1 Sn 0.000 0.000 0.500 1
Pd1 Pd 0.250 0.250 0.250 1



(2)
# NaTl2Pd (PBE, optimized geometry)
# DFT formation energy = -0.144 eV per atom
data_NaTl2Pd
_chemical_formula_sum 'Na4 Tl8 Pd4'
_space_group_name_H-M_alt 'F m -3 m'
_space_group_IT_number 225
_space_group_name_Hall '-F 4 2 3'
_cell_length_a 7.111
_cell_length_b 7.111
_cell_length_c 7.111
_cell_angle_alpha 90.00
_cell_angle_beta 90.00
_cell_angle_gamma 90.00
loop_
_atom_site_label
_atom_site_type_symbol
_atom_site_fract_x
_atom_site_fract_y
_atom_site_fract_z
_atom_site_occupancy
Na1 Na 0.000 0.000 0.000 1
Tl1 Tl 0.250 0.250 0.250 1
Pd1 Pd 0.000 0.000 0.500 1



(3)
# Na3Pm (PBE, optimized geometry)
# DFT formation energy = 0.330 eV per atom
# magnetic moment = 0.22 μB/cell
data_Na3Pm
_chemical_formula_sum 'Na6 Pm2'
_space_group_name_H-M_alt 'P 63/m m c'
_space_group_IT_number 194
_space_group_name_Hall '-P 6c 2c'
_cell_length_a 7.4312
_cell_length_b 7.4312
_cell_length_c 5.7941
_cell_angle_alpha 90.00
_cell_angle_beta 90.00
_cell_angle_gamma 120.00
loop_
_atom_site_label
_atom_site_type_symbol
_atom_site_fract_x
_atom_site_fract_y
_atom_site_fract_z
_atom_site_occupancy
Na1 Na 0.1623 0.3245 0.2500 1
Pm1 Pm 0.3333 0.6667 0.7500 1